No. 1
ScNiB4, optimized geometry, DFT GGA-PBE; DFT formation energy = -565.1 meV/atom; electronic total energy = -7.04 eV/atom; space group = Pbam, No. 55; calculated volume = 8.78 A^3/atom
1.0
3.247 0.000 0.000
0.000 5.785 0.000
0.000 0.000 11.221
B Sc Ni
16 4 4
direct
0.500 0.616 0.951 B
0.500 0.521 0.806 B
0.500 0.366 0.467 B
0.500 0.866 0.033 B
0.500 0.479 0.194 B
0.500 0.116 0.549 B
0.500 0.711 0.687 B
0.500 0.134 0.967 B
0.500 0.634 0.533 B
0.500 0.979 0.306 B
0.500 0.289 0.313 B
0.500 0.789 0.187 B
0.500 0.021 0.694 B
0.500 0.211 0.813 B
0.500 0.384 0.049 B
0.500 0.884 0.451 B
0.000 0.373 0.651 Sc
0.000 0.127 0.151 Sc
0.000 0.873 0.849 Sc
0.000 0.627 0.349 Sc
0.000 0.135 0.411 Ni
0.000 0.365 0.911 Ni
0.000 0.865 0.589 Ni
0.000 0.635 0.089 Ni



No. 2
Na6CaZr7P12O48, optimized geometry, DFT GGA-PBE; DFT formation energy = -3108.8 meV/atom; electronic total energy = -7.69 eV/atom; space group = P1, No. 1; calculated volume = 14.76 A^3/atom
1.0
-6.364 -2.432 16.638
7.137 -4.683 -2.802
14.165 16.886 7.904
Zr O P Na Ca
21 144 36 18 3
direct
0.998 0.001 0.146 Zr
0.333 0.333 0.483 Zr
0.666 0.666 0.518 Zr
0.334 0.332 0.981 Zr
0.500 0.998 0.855 Zr
0.501 0.999 0.146 Zr
0.999 0.998 0.644 Zr
0.333 0.334 0.186 Zr
0.498 0.998 0.354 Zr
0.169 0.666 0.817 Zr
0.666 0.673 0.316 Zr
0.666 0.666 0.019 Zr
0.167 0.667 0.020 Zr
0.499 0.998 0.644 Zr
0.834 0.335 0.482 Zr
0.166 0.667 0.518 Zr
0.999 0.998 0.855 Zr
0.001 0.003 0.355 Zr
0.670 0.666 0.817 Zr
0.833 0.333 0.983 Zr
0.170 0.666 0.315 Zr
0.099 0.173 0.091 O
0.155 0.845 0.969 O
0.755 0.655 0.571 O
0.733 0.367 0.140 O
0.595 0.016 0.303 O
0.926 0.321 0.250 O
0.821 0.139 0.424 O
0.511 0.196 0.910 O
0.451 0.367 0.640 O
0.673 0.855 0.572 O
0.654 0.463 0.468 O
0.087 0.970 0.197 O
0.423 0.310 0.532 O
0.931 0.358 0.924 O
0.253 0.864 0.076 O
0.087 0.977 0.910 O
0.345 0.530 0.242 O
0.915 0.020 0.087 O
0.322 0.139 0.424 O
0.516 0.826 0.699 O
0.931 0.505 0.423 O
0.757 0.641 0.864 O
0.415 0.810 0.587 O
0.255 0.655 0.571 O
0.232 0.154 0.532 O
0.257 0.872 0.363 O
0.815 0.101 0.136 O
0.991 0.813 0.088 O
0.072 0.653 0.072 O
0.180 0.487 0.364 O
0.230 0.300 0.750 O
0.086 0.701 0.758 O
0.402 0.826 0.910 O
0.435 0.511 0.136 O
0.926 0.530 0.751 O
0.151 0.834 0.257 O
0.572 0.491 0.572 O
0.577 0.692 0.469 O
0.014 0.205 0.198 O
0.846 0.152 0.029 O
0.595 0.020 0.588 O
0.180 0.875 0.862 O
0.769 0.847 0.469 O
0.913 0.807 0.303 O
0.729 0.161 0.250 O
0.679 0.875 0.862 O
0.747 0.357 0.423 O
0.017 0.826 0.699 O
0.087 0.197 0.410 O
0.063 0.642 0.361 O
0.321 0.505 0.924 O
0.732 0.155 0.532 O
0.993 0.807 0.804 O
0.564 0.641 0.364 O
0.846 0.540 0.529 O
0.654 0.844 0.968 O
0.012 0.197 0.910 O
0.269 0.692 0.970 O
0.072 0.491 0.572 O
0.923 0.537 0.031 O
0.845 0.535 0.249 O
0.731 0.308 0.031 O
0.673 0.489 0.072 O
0.315 0.530 0.637 O
0.487 0.802 0.090 O
0.515 0.205 0.197 O
0.063 0.484 0.862 O
0.990 0.170 0.588 O
0.769 0.691 0.970 O
0.086 0.205 0.698 O
0.346 0.155 0.030 O
0.398 0.822 0.196 O
0.755 0.855 0.071 O
0.915 0.810 0.587 O
0.414 0.024 0.091 O
0.912 0.017 0.804 O
0.586 0.205 0.698 O
0.154 0.462 0.469 O
0.493 0.807 0.804 O
0.586 0.701 0.758 O
0.269 0.847 0.469 O
0.594 0.169 0.088 O
0.730 0.300 0.750 O
0.898 0.823 0.198 O
0.248 0.357 0.424 O
0.401 0.977 0.409 O
0.898 0.972 0.698 O
0.398 0.972 0.698 O
0.923 0.310 0.532 O
0.233 0.098 0.640 O
0.232 0.309 0.030 O
0.235 0.159 0.242 O
0.431 0.504 0.424 O
0.147 0.466 0.758 O
0.490 0.170 0.588 O
0.586 0.196 0.409 O
0.902 0.826 0.910 O
0.077 0.691 0.468 O
0.951 0.367 0.640 O
0.179 0.495 0.076 O
0.426 0.530 0.751 O
0.994 0.180 0.304 O
0.084 0.475 0.257 O
0.431 0.358 0.924 O
0.248 0.138 0.924 O
0.748 0.138 0.924 O
0.587 0.977 0.910 O
0.487 0.178 0.303 O
0.902 0.977 0.409 O
0.103 0.025 0.303 O
0.266 0.692 0.257 O
0.651 0.833 0.257 O
0.822 0.504 0.924 O
0.588 0.973 0.197 O
0.410 0.795 0.303 O
0.346 0.539 0.529 O
0.562 0.483 0.861 O
0.095 0.020 0.588 O
0.511 0.826 0.409 O
0.257 0.641 0.864 O
0.568 0.643 0.076 O
0.412 0.017 0.804 O
0.733 0.097 0.640 O
0.845 0.156 0.749 O
0.596 0.176 0.804 O
0.763 0.836 0.757 O
0.763 0.690 0.257 O
0.647 0.466 0.758 O
0.815 0.530 0.637 O
0.244 0.359 0.136 O
0.078 0.465 0.969 O
0.422 0.536 0.030 O
0.263 0.836 0.758 O
0.012 0.827 0.409 O
0.096 0.176 0.804 O
0.321 0.131 0.137 O
0.345 0.156 0.750 O
0.173 0.856 0.572 O
0.421 0.311 0.243 O
0.756 0.872 0.364 O
0.679 0.484 0.361 O
0.951 0.535 0.140 O
0.583 0.467 0.257 O
0.577 0.464 0.968 O
0.812 0.959 0.417 P
0.832 0.629 0.582 P
0.668 0.959 0.917 P
0.501 0.712 0.752 P
0.167 0.958 0.917 P
0.002 0.292 0.252 P
0.143 0.288 0.751 P
0.001 0.712 0.752 P
0.145 0.000 0.250 P
0.500 0.289 0.250 P
0.186 0.036 0.584 P
0.478 0.623 0.083 P
0.021 0.665 0.416 P
0.982 0.335 0.584 P
0.812 0.664 0.918 P
0.482 0.335 0.584 P
0.667 0.376 0.416 P
0.982 0.631 0.084 P
0.021 0.376 0.917 P
0.312 0.959 0.417 P
0.643 0.997 0.251 P
0.685 0.333 0.084 P
0.855 0.996 0.751 P
0.168 0.376 0.417 P
0.520 0.665 0.417 P
0.854 0.713 0.251 P
0.333 0.044 0.084 P
0.332 0.629 0.582 P
0.521 0.376 0.916 P
0.833 0.036 0.082 P
0.312 0.666 0.918 P
0.355 0.996 0.751 P
0.356 0.711 0.250 P
0.643 0.288 0.751 P
0.189 0.333 0.083 P
0.686 0.036 0.584 P
0.671 0.666 0.662 Na
0.500 0.000 0.500 Na
0.495 0.362 0.746 Na
0.333 0.342 0.832 Na
0.833 0.324 0.333 Na
0.171 0.666 0.662 Na
0.169 0.665 0.166 Na
0.186 0.008 0.745 Na
0.686 0.008 0.746 Na
0.501 0.002 0.001 Na
0.999 0.998 0.002 Na
0.000 0.000 0.500 Na
0.833 0.342 0.833 Na
0.668 0.677 0.165 Na
0.996 0.626 0.247 Na
0.686 0.364 0.247 Na
0.333 0.334 0.335 Na
0.995 0.362 0.746 Na
0.833 0.341 0.682 Ca
0.333 0.341 0.682 Ca
0.833 0.324 0.183 Ca



No. 3
Ca2Be2P2O9F, optimized geometry, DFT GGA-PBE; DFT formation energy = -3106.0 meV/atom; electronic total energy = -6.99 eV/atom; space group = Pc, No. 7; calculated volume = 11.57 A^3/atom
1.0
-2.056 -6.447 -3.824
4.527 -1.723 0.471
-2.438 -4.249 8.476
O Be P Ca F
18 4 4 4 2
direct
0.355 0.337 0.855 O
0.096 0.328 0.692 O
0.595 0.671 0.806 O
0.405 0.671 0.306 O
0.858 0.667 0.645 O
0.654 0.212 0.683 O
0.647 0.243 0.956 O
0.142 0.667 0.145 O
0.469 0.649 0.043 O
0.346 0.212 0.183 O
0.531 0.649 0.543 O
0.032 0.354 0.956 O
0.353 0.243 0.456 O
0.904 0.328 0.192 O
0.852 0.755 0.040 O
0.645 0.337 0.355 O
0.968 0.354 0.456 O
0.148 0.755 0.540 O
0.164 0.460 0.839 Be
0.836 0.460 0.339 Be
0.665 0.541 0.660 Be
0.335 0.541 0.160 Be
0.481 0.471 0.417 P
0.979 0.530 0.081 P
0.021 0.530 0.581 P
0.519 0.471 0.917 P
0.866 0.002 0.830 Ca
0.134 0.002 0.330 Ca
0.363 0.996 0.669 Ca
0.637 0.996 0.169 Ca
0.161 0.784 0.828 F
0.839 0.784 0.328 F